Material: Sr2MgCuP2O8
Method: DFT, PBE
State: optimized geometry

```
Sr2MgCuP2O8
1.0
-2.0232 1.6960 -4.9604
5.3474 -3.1705 -0.0823
-4.9277 -4.6287 0.4273
O P Sr Cu Mg
8 2 2 1 1
Cartesian
-3.2477 -2.1226 -4.3379
0.0861 -0.5791 -3.4159
1.6442 -3.9807 -0.2776
0.5291 -3.0460 -3.0113
-3.6496 -4.3763 -0.0077
-1.6897 -5.5241 -1.1996
2.0461 -1.7269 -4.6077
-2.1326 -3.0572 -1.6041
-2.2084 -4.1921 -0.5326
0.6049 -1.9111 -4.0829
-1.7574 -4.0937 -3.8656
0.1538 -2.0095 -0.7498
-3.4755 -1.4664 -2.2665
-1.0116 0.8480 -2.4802
```

Energy of formation from the pure elements = -2.64 eV per atom
Offset from the most stable computed form = 0.00 eV/f.u.
Theoretical density = 3.75 g/cm3
Total magnetization = 0.82 μB/f.u.

***

Material: NaSiBO4
Method: DFT, PBE
State: optimized geometry

```
NaSiBO4
1.0
2.1285 7.6430 -1.7969
-6.4728 -3.3713 -3.5933
-4.5545 2.6194 5.7466
Na O Si B
6 24 6 6
Cartesian
-4.2387 5.9846 2.0206
-4.8286 1.0035 -1.4515
-1.6543 4.4982 -1.2403
-1.0537 0.6060 1.3295
-3.3309 1.9157 4.2028
-6.7986 2.1365 1.0342
-3.5276 8.8898 3.5927
-5.4913 -0.0641 0.6008
-6.3016 5.0944 2.8824
-1.3318 6.4345 0.1550
-2.7603 1.4336 -0.5961
-5.7996 5.2626 0.5249
-7.1314 1.6999 -1.5031
-7.9050 4.2686 1.2078
-3.1034 7.8820 1.4677
-7.5537 -0.7433 -0.4824
-3.7412 6.3265 4.3501
-4.7060 4.1499 4.8193
-8.8672 1.2044 1.8420
-3.5777 1.4948 1.6487
-2.2940 3.3703 0.7892
-3.9562 5.1961 -1.3605
-3.0520 4.3714 3.1087
-6.3754 3.9965 -1.7090
-5.5079 2.3248 -3.1799
-7.5037 6.6516 1.4617
-4.5710 2.9320 -0.0355
-5.4564 -1.1858 -1.5389
-5.3813 8.0904 2.2461
-6.2428 2.4428 3.3574
-5.1581 4.3297 -0.6542
-1.5777 1.3174 -1.7186
-4.4269 -2.1018 -2.4182
-2.3089 7.7489 0.0455
-1.7519 3.8638 2.2578
-4.9838 1.7833 -4.6305
-4.0470 8.7646 2.2132
-6.1494 -1.1271 -0.2194
-6.7357 2.7759 -2.4632
-3.4607 4.8616 4.4569
-3.2943 2.3357 0.4650
-6.9022 5.3017 1.5287
```

Energy of formation from the pure elements = -2.91 eV per atom
Theoretical density = 2.81 g/cm3
Maximum piezoelectric response = 0.559 C/m²
Total magnetization = 0.00 μB/f.u.

***

Material: Ga2CuSe3O10
Method: DFT, PBE
State: optimized geometry

```
Ga2CuSe3O10
1.0
-4.0617 -2.4024 -4.7475
7.6818 -4.6824 -4.2028
-2.4264 -10.7071 7.4941
O Ga Se Cu
40 8 12 4
Cartesian
3.9878 -7.8122 -4.1777
2.0220 -5.9853 -5.3929
1.4226 -3.5721 -1.3201
3.0973 -12.9846 -2.6619
-0.7218 -8.5954 4.9671
-0.2886 -11.1420 1.1660
-2.7941 -9.9796 2.7215
2.0948 -15.7767 -1.3835
-3.3590 -3.4689 -2.9455
2.3311 -10.6831 0.6030
3.3550 -7.8635 -0.8639
-0.2777 -6.1225 3.3357
0.5069 -6.1362 -0.1371
-3.4427 -12.3280 4.4647
-0.9947 -5.0019 -4.1455
-0.8283 -11.8065 3.9367
0.2025 -8.5302 2.1707
4.7012 -12.0360 -0.7872
-2.5262 -12.8107 1.9522
-0.9012 -2.0152 -0.0727
-2.1614 -9.9284 -0.5923
-0.2290 -14.2198 -0.1361
1.6385 -10.3990 3.8604
2.1883 -12.7900 2.6893
3.7198 -4.9811 -3.4084
-1.9037 -4.8072 1.2057
4.6363 -5.4638 -5.9209
1.4822 -6.6498 -2.6222
5.5331 -9.2670 -0.0445
-1.1375 -7.1088 -2.0591
0.6867 -11.6557 -1.3190
0.4939 -3.9079 1.5550
4.7615 -11.4816 1.7363
0.9911 -9.2616 -3.6268
4.5527 -14.3230 1.4893
-3.5076 -5.7559 -0.6690
2.5075 -13.6674 0.0517
-1.3139 -4.1244 -1.5079
5.9771 -6.7941 -1.6758
3.6169 -4.9905 -0.5691
-1.4947 -6.7301 4.6844
0.0200 -4.2783 -0.2117
5.3159 -7.2275 -5.6098
6.7500 -8.6594 -1.3931
1.1736 -13.5136 -1.2444
-4.1222 -10.5644 4.1536
3.2045 -12.3124 1.1293
-2.0108 -5.4795 -2.5855
2.1597 -12.0316 4.2406
3.2217 -4.7941 -5.0495
-2.0281 -12.9978 3.5934
0.4373 -7.3278 -1.3851
4.1093 -9.4254 -3.4653
1.0602 -7.1305 2.7012
4.1951 -8.2590 0.5901
-1.4562 -9.6868 6.1477
-2.9157 -8.3665 2.0092
0.7563 -10.4640 -0.0710
3.0957 -3.3578 -0.9494
6.7116 -5.7027 -2.8565
1.4283 -7.5758 -4.4671
-0.2347 -10.2161 3.0109
3.4592 -6.3746 -2.0933
-2.2655 -11.4173 0.6372
```

Energy of formation from the pure elements = -1.50 eV per atom
Theoretical density = 4.51 g/cm3
Total magnetization = 0.93 μB/f.u.